Density functional theory data (PBE-GGA) for a geometry-optimized ZrTe2Br5 structure.

Unit cell a=9.2619 b=9.2619 c=9.9087 alpha=59.94 beta=59.94 gamma=76.25
Atoms (fractional coordinates):
1 Te 0.4426 0.4426 0.3689
2 Te 0.3315 0.6685 0.5000
3 Te 0.5574 0.5574 0.6311
4 Te 0.6685 0.3315 0.5000
5 Br 0.9103 0.2567 0.6709
6 Br 0.4930 0.8360 0.9148
7 Br 0.0897 0.7433 0.3291
8 Br 0.5070 0.1640 0.0852
9 Br 0.1495 0.1495 0.9198
10 Br 0.1640 0.5070 0.0852
11 Br 0.8505 0.8505 0.0802
12 Br 0.7433 0.0897 0.3291
13 Br 0.8360 0.4930 0.9148
14 Br 0.2567 0.9103 0.6709
15 Zr 0.8122 0.1878 0.0000
16 Zr 0.1878 0.8122 0.0000

Calculated values
As for the corrected total energy (MP2020 scheme): -66.32 eV/cell.

=====

Density functional theory data (PBE-GGA) for a geometry-optimized U structure.

Unit cell a=5.0612 b=5.8690 c=22.7619 alpha=90.00 beta=90.00 gamma=90.00
Atoms (fractional coordinates):
1 U 0.5105 0.7769 0.3119
2 U 0.5039 0.2831 0.4387
3 U 0.0077 0.2228 0.1243
4 U 0.0000 0.2157 0.0000
5 U 0.9923 0.2228 0.8757
6 U 0.5105 0.7769 0.1881
7 U 0.0077 0.7772 0.1243
8 U 0.4961 0.7169 0.9387
9 U 0.4895 0.2231 0.6881
10 U 0.9892 0.7181 0.7500
11 U 0.4961 0.2831 0.9387
12 U 0.9892 0.2819 0.7500
13 U 0.0108 0.2819 0.2500
14 U 0.9923 0.2228 0.6243
15 U 0.5039 0.7169 0.4387
16 U 0.5039 0.2831 0.0613
17 U 0.4895 0.2231 0.8119
18 U 0.0108 0.7181 0.2500
19 U 0.4895 0.7769 0.8119
20 U 0.0077 0.7772 0.3757
21 U 0.0000 0.7843 0.5000
22 U 0.4895 0.7769 0.6881
23 U 0.5039 0.7169 0.0613
24 U 0.0077 0.2228 0.3757
25 U 0.4961 0.7169 0.5613
26 U 0.5105 0.2231 0.3119
27 U 0.0000 0.7843 0.0000
28 U 0.5105 0.2231 0.1881
29 U 0.9923 0.7772 0.6243
30 U 0.4961 0.2831 0.5613
31 U 0.9923 0.7772 0.8757
32 U 0.0000 0.2157 0.5000

Calculated values
The energy above the most stable polymorph in this dataset comes out at 355 meV per atom.

=====

Density functional theory data (PBE-GGA) for a geometry-optimized Mg6AlSb structure.

Unit cell a=5.2347 b=6.3717 c=10.7354 alpha=90.00 beta=90.00 gamma=90.00
Atoms (fractional coordinates):
1 Al 0.5000 0.5000 0.3324
2 Al 0.5000 0.0000 0.8324
3 Mg 0.0000 0.7551 0.9158
4 Mg 0.5000 0.7494 0.0836
5 Mg 0.0000 0.5000 0.1693
6 Mg 0.0000 0.2551 0.4158
7 Mg 0.0000 0.7449 0.4158
8 Mg 0.5000 0.2494 0.5836
9 Mg 0.0000 0.5000 0.6664
10 Mg 0.5000 0.2506 0.0836
11 Mg 0.0000 0.0000 0.1664
12 Mg 0.0000 0.0000 0.6693
13 Mg 0.5000 0.7506 0.5836
14 Mg 0.0000 0.2449 0.9158
15 Sb 0.5000 0.5000 0.8329
16 Sb 0.5000 0.0000 0.3329

Calculated values
As for the corrected total energy (MP2020 scheme): -35.77 eV/cell.

=====

Density functional theory data (PBE-GGA) for a geometry-optimized HgSO4 structure.

Unit cell a=14.1389 b=5.1780 c=11.6484 alpha=78.73 beta=90.00 gamma=90.00
Atoms (fractional coordinates):
1 O 0.2066 0.2679 0.5960
2 O 0.4433 0.0904 0.1317
3 O 0.2934 0.2679 0.0960
4 O 0.0911 0.3453 0.4338
5 O 0.0567 0.0904 0.6317
6 O 0.4089 0.3453 0.9338
7 O 0.6935 0.6069 0.6864
8 O 0.4606 0.5655 0.2857
9 O 0.1935 0.3931 0.8136
10 O 0.8385 0.0911 0.5002
11 O 0.9433 0.9096 0.3683
12 O 0.4246 0.2823 0.4724
13 O 0.9606 0.4345 0.2143
14 O 0.6615 0.0911 0.0002
15 O 0.9246 0.7177 0.0276
16 O 0.0754 0.2823 0.9724
17 O 0.5567 0.9096 0.8683
18 O 0.1615 0.9089 0.4998
19 O 0.8528 0.2749 0.0777
20 O 0.3065 0.3931 0.3136
21 O 0.5911 0.6547 0.0662
22 O 0.9089 0.6547 0.5662
23 O 0.5394 0.4345 0.7143
24 O 0.5754 0.7177 0.5276
25 O 0.7066 0.7321 0.9040
26 O 0.0394 0.5655 0.7857
27 O 0.6472 0.2749 0.5777
28 O 0.3528 0.7251 0.4223
29 O 0.7934 0.7321 0.4040
30 O 0.1472 0.7251 0.9223
31 O 0.3385 0.9089 0.9998
32 O 0.8065 0.6069 0.1864
33 Hg 0.8621 0.1574 0.6803
34 Hg 0.1360 0.7904 0.1029
35 Hg 0.3640 0.7904 0.6029
36 Hg 0.1379 0.8426 0.3197
37 Hg 0.6379 0.1574 0.1803
38 Hg 0.6360 0.2096 0.3971
39 Hg 0.8640 0.2096 0.8971
40 Hg 0.3621 0.8426 0.8197
41 S 0.8728 0.8409 0.4642
42 S 0.6132 0.5137 0.6230
43 S 0.3868 0.4863 0.3770
44 S 0.8868 0.5137 0.1230
45 S 0.6272 0.8409 0.9642
46 S 0.1132 0.4863 0.8770
47 S 0.1272 0.1591 0.5358
48 S 0.3728 0.1591 0.0358

Calculated values
As for the corrected total energy (MP2020 scheme): -254.46 eV/cell.

=====

Density functional theory data (PBE-GGA) for a geometry-optimized NaAcTe2 structure.

Unit cell a=5.6826 b=5.6826 c=5.6826 alpha=60.00 beta=60.00 gamma=60.00
Atoms (fractional coordinates):
1 Te 0.2500 0.2500 0.2500
2 Te 0.7500 0.7500 0.7500
3 Na 0.0000 0.0000 0.0000
4 Ac 0.5000 0.5000 0.5000

Calculated values
As for the corrected total energy (MP2020 scheme): -17.61 eV/cell.

=====

Density functional theory data (PBE-GGA) for a geometry-optimized Dy3Os structure.

Unit cell a=6.3316 b=7.3852 c=9.0983 alpha=90.00 beta=90.00 gamma=90.00
Atoms (fractional coordinates):
1 Dy 0.3682 0.9612 0.7500
2 Dy 0.3309 0.6751 0.0633
3 Dy 0.6691 0.3249 0.5633
4 Dy 0.3309 0.6751 0.4367
5 Dy 0.8682 0.5388 0.2500
6 Dy 0.1691 0.1751 0.0633
7 Dy 0.1318 0.4612 0.7500
8 Dy 0.6691 0.3249 0.9367
9 Dy 0.1691 0.1751 0.4367
10 Dy 0.8309 0.8249 0.9367
11 Dy 0.6318 0.0388 0.2500
12 Dy 0.8309 0.8249 0.5633
13 Os 0.5393 0.6165 0.7500
14 Os 0.9607 0.1165 0.7500
15 Os 0.4607 0.3835 0.2500
16 Os 0.0393 0.8835 0.2500

Calculated values
As for the electronic total energy: -6.519 eV per atom.

=====

Density functional theory data (PBE-GGA) for a geometry-optimized Ce2ScSi2 structure.

Unit cell a=7.2759 b=7.2759 c=4.3522 alpha=90.00 beta=90.00 gamma=90.00
Atoms (fractional coordinates):
1 Ce 0.8209 0.6791 0.5000
2 Ce 0.1791 0.3209 0.5000
3 Ce 0.6791 0.1791 0.5000
4 Ce 0.3209 0.8209 0.5000
5 Si 0.6199 0.8801 0.0000
6 Si 0.3801 0.1199 0.0000
7 Si 0.1199 0.6199 0.0000
8 Si 0.8801 0.3801 0.0000
9 Sc 0.5000 0.5000 0.0000
10 Sc 0.0000 0.0000 0.0000

Calculated values
As for the corrected total energy (MP2020 scheme): -64.28 eV/cell.

=====

Density functional theory data (PBE-GGA) for a geometry-optimized SrSn2H10Cl6O5 structure.

Unit cell a=9.6951 b=9.6951 c=9.2947 alpha=69.59 beta=69.59 gamma=76.55
Atoms (fractional coordinates):
1 H 0.7694 0.1135 0.5464
2 H 0.1135 0.7694 0.0464
3 H 0.9339 0.7028 0.7230
4 H 0.2153 0.6758 0.7620
5 H 0.7028 0.9339 0.2230
6 H 0.9466 0.7531 0.1200
7 H 0.3416 0.0776 0.5957
8 H 0.2972 0.0661 0.7770
9 H 0.7847 0.3242 0.2380
10 H 0.8865 0.2306 0.9536
11 H 0.0776 0.3416 0.0957
12 H 0.9224 0.6584 0.9043
13 H 0.6758 0.2153 0.2620
14 H 0.2306 0.8865 0.4536
15 H 0.2469 0.0534 0.3800
16 H 0.0534 0.2469 0.8800
17 H 0.3242 0.7847 0.7380
18 H 0.0661 0.2972 0.2770
19 H 0.7531 0.9466 0.6200
20 H 0.6584 0.9224 0.4043
21 Cl 0.6852 0.0260 0.9693
22 Cl 0.1750 0.4460 0.7930
23 Cl 0.3148 0.9740 0.0307
24 Cl 0.4460 0.1750 0.2930
25 Cl 0.5803 0.3109 0.5976
26 Cl 0.3109 0.5803 0.0976
27 Cl 0.5540 0.8250 0.7070
28 Cl 0.4197 0.6891 0.4024
29 Cl 0.8250 0.5540 0.2070
30 Cl 0.6891 0.4197 0.9024
31 Cl 0.0260 0.6852 0.4693
32 Cl 0.9740 0.3148 0.5307
33 Sr 0.9915 0.0085 0.2500
34 Sr 0.0085 0.9915 0.7500
35 Sn 0.4743 0.2604 0.9790
36 Sn 0.5257 0.7396 0.0210
37 Sn 0.2604 0.4743 0.4790
38 Sn 0.7396 0.5257 0.5210
39 O 0.2206 0.7794 0.7500
40 O 0.0942 0.2567 0.1860
41 O 0.0154 0.8294 0.0636
42 O 0.9058 0.7433 0.8140
43 O 0.9846 0.1706 0.9364
44 O 0.7433 0.9058 0.3140
45 O 0.7794 0.2206 0.2500
46 O 0.2567 0.0942 0.6860
47 O 0.8294 0.0154 0.5636
48 O 0.1706 0.9846 0.4364

Calculated values
As for the corrected total energy (MP2020 scheme): -223.68 eV/cell.

=====

Density functional theory data (PBE-GGA) for a geometry-optimized MgSn2O4 structure.

Unit cell a=6.5895 b=6.5895 c=6.5895 alpha=60.00 beta=60.00 gamma=60.00
Atoms (fractional coordinates):
1 Sn 0.1250 0.1250 0.6250
2 Sn 0.1250 0.1250 0.1250
3 Sn 0.6250 0.1250 0.1250
4 Sn 0.1250 0.6250 0.1250
5 O 0.8874 0.3709 0.3709
6 O 0.3709 0.8874 0.3709
7 O 0.8791 0.3626 0.8791
8 O 0.3626 0.8791 0.8791
9 O 0.8791 0.8791 0.3626
10 O 0.3709 0.3709 0.8874
11 O 0.3709 0.3709 0.3709
12 O 0.8791 0.8791 0.8791
13 Mg 0.5000 0.5000 0.5000
14 Mg 0.7500 0.7500 0.7500

Calculated values
The energy above the most stable polymorph in this dataset comes out at 235 meV per atom. As for the corrected total energy (MP2020 scheme): -85.56 eV/cell.

=====

Density functional theory data (PBE-GGA) for a geometry-optimized TbCoGe structure.

Unit cell a=4.2613 b=6.9527 c=7.1664 alpha=90.00 beta=90.00 gamma=90.00
Atoms (fractional coordinates):
1 Tb 0.7500 0.0130 0.1960
2 Tb 0.2500 0.9870 0.8040
3 Tb 0.7500 0.5130 0.3040
4 Tb 0.2500 0.4870 0.6960
5 Co 0.7500 0.3461 0.9313
6 Co 0.7500 0.8461 0.5687
7 Co 0.2500 0.1539 0.4313
8 Co 0.2500 0.6539 0.0687
9 Ge 0.7500 0.7001 0.8992
10 Ge 0.2500 0.2999 0.1008
11 Ge 0.7500 0.2001 0.6008
12 Ge 0.2500 0.7999 0.3992

Calculated values
As for the electronic total energy: -6.107 eV per atom.

=====

Density functional theory data (PBE-GGA) for a geometry-optimized DySiAg structure.

Unit cell a=4.1969 b=7.0549 c=7.0549 alpha=120.00 beta=90.00 gamma=90.00
Atoms (fractional coordinates):
1 Ag 0.0000 0.0000 0.7502
2 Ag 0.0000 0.2498 0.2498
3 Ag 0.0000 0.7502 0.0000
4 Si 0.5000 0.0000 0.0000
5 Si 0.0000 0.6667 0.3333
6 Si 0.0000 0.3333 0.6667
7 Dy 0.5000 0.4192 0.0000
8 Dy 0.5000 0.0000 0.4192
9 Dy 0.5000 0.5808 0.5808

Calculated values
As for the electronic total energy: -4.886 eV per atom.

=====

Density functional theory data (PBE-GGA) for a geometry-optimized Tb3SnC structure.

Unit cell a=5.6307 b=5.6307 c=5.6307 alpha=90.00 beta=90.00 gamma=90.00
Atoms (fractional coordinates):
1 C 0.0000 0.0000 0.0000
2 Tb 0.0000 0.5000 0.5000
3 Tb 0.5000 0.0000 0.5000
4 Tb 0.5000 0.5000 0.0000
5 Sn 0.5000 0.5000 0.5000

Calculated values
As for the electronic total energy: -3.979 eV per atom.

=====

Density functional theory data (PBE-GGA) for a geometry-optimized HgBrCl structure.

Unit cell a=4.2910 b=7.4355 c=13.5953 alpha=90.00 beta=90.00 gamma=90.00
Atoms (fractional coordinates):
1 Hg 0.9376 0.5868 0.1296
2 Hg 0.0624 0.0868 0.3704
3 Hg 0.4376 0.9132 0.8704
4 Hg 0.5624 0.4132 0.6296
5 Br 0.2909 0.6694 0.2645
6 Br 0.2091 0.3306 0.7645
7 Br 0.7909 0.8306 0.7355
8 Br 0.7091 0.1694 0.2355
9 Cl 0.0952 0.9901 0.9982
10 Cl 0.9048 0.4901 0.5018
11 Cl 0.4048 0.0099 0.4982
12 Cl 0.5952 0.5099 0.0018

Calculated values
As for the corrected total energy (MP2020 scheme): -24.02 eV/cell.

=====

Density functional theory data (PBE-GGA) for a geometry-optimized K2GaAgBr6 structure.

Unit cell a=7.6519 b=7.6519 c=7.6519 alpha=60.00 beta=60.00 gamma=60.00
Atoms (fractional coordinates):
1 Br 0.7608 0.7608 0.2392
2 Br 0.2392 0.7608 0.7608
3 Br 0.7608 0.2392 0.2392
4 Br 0.2392 0.2392 0.7608
5 Br 0.7608 0.2392 0.7608
6 Br 0.2392 0.7608 0.2392
7 K 0.2500 0.2500 0.2500
8 K 0.7500 0.7500 0.7500
9 Ag 0.5000 0.5000 0.5000
10 Ga 0.0000 0.0000 0.0000

Calculated values
As for the corrected total energy (MP2020 scheme): -31.57 eV/cell.

=====

Density functional theory data (PBE-GGA) for a geometry-optimized KPbO2 structure.

Unit cell a=7.1228 b=7.6227 c=13.0840 alpha=105.45 beta=90.94 gamma=117.54
Atoms (fractional coordinates):
1 Pb 0.2635 0.7742 0.0332
2 Pb 0.7365 0.2258 0.9668
3 Pb 0.7616 0.2743 0.5343
4 Pb 0.2384 0.7257 0.4657
5 Pb 0.0130 0.2532 0.7544
6 Pb 0.4846 0.2467 0.7467
7 Pb 0.5154 0.7533 0.2533
8 Pb 0.9870 0.7468 0.2456
9 K 0.9881 0.2403 0.2350
10 K 0.2335 0.2336 0.4917
11 K 0.7361 0.7358 0.9919
12 K 0.2639 0.2642 0.0081
13 K 0.7665 0.7664 0.5083
14 K 0.0119 0.7597 0.7650
15 K 0.4844 0.7392 0.7349
16 K 0.5156 0.2608 0.2651
17 O 0.8892 0.0596 0.8619
18 O 0.4223 0.0605 0.8553
19 O 0.1108 0.9404 0.1381
20 O 0.9243 0.5613 0.3546
21 O 0.8551 0.9429 0.3430
22 O 0.3351 0.9260 0.3563
23 O 0.6467 0.5570 0.1558
24 O 0.3533 0.4430 0.8442
25 O 0.6649 0.0740 0.6437
26 O 0.3917 0.5602 0.3611
27 O 0.8333 0.4257 0.8570
28 O 0.0757 0.4387 0.6454
29 O 0.1667 0.5743 0.1430
30 O 0.5777 0.9395 0.1447
31 O 0.6083 0.4398 0.6389
32 O 0.1449 0.0571 0.6570

Calculated values
As for the corrected total energy (MP2020 scheme): -168.13 eV/cell.

=====

Number 1: mass density 3.89 g/cm3. Number 2: mass density 18.71 g/cm3. Number 3: mass density 2.73 g/cm3. Number 4: mass density 4.71 g/cm3. Number 5: mass density 6.46 g/cm3. Number 6: mass density 10.58 g/cm3. Number 7: mass density 5.50 g/cm3. Number 8: mass density 2.74 g/cm3. Number 9: mass density 5.35 g/cm3. Number 10: mass density 9.09 g/cm3. Number 11: mass density 8.22 g/cm3. Number 12: mass density 5.65 g/cm3. Number 13: mass density 4.84 g/cm3. Number 14: mass density 3.85 g/cm3. Number 15: mass density 6.17 g/cm3.